The following is a DFT calculation (PBE with a Hubbard U) of a relaxed Ca5MnO6 crystal.

Unit cell a=5.851 b=6.763 c=16.516 alpha=90.00 beta=89.89 gamma=90.00
Atoms (fractional coordinates):
1 Ca 0.500 0.250 0.000
2 Ca 0.000 0.500 0.500
3 Ca 0.500 0.750 0.000
4 Ca 0.000 0.000 0.500
5 Ca 0.831 0.250 0.335
6 Ca 0.331 0.500 0.835
7 Ca 0.831 0.750 0.335
8 Ca 0.331 0.000 0.835
9 Ca 0.669 0.500 0.165
10 Ca 0.169 0.750 0.665
11 Ca 0.669 0.000 0.165
12 Ca 0.169 0.250 0.665
13 Ca 0.335 0.500 0.335
14 Ca 0.835 0.750 0.835
15 Ca 0.335 0.000 0.335
16 Ca 0.835 0.250 0.835
17 Ca 0.165 0.250 0.165
18 Ca 0.665 0.500 0.665
19 Ca 0.165 0.750 0.165
20 Ca 0.665 0.000 0.665
21 Mn 0.000 0.500 0.000
22 Mn 0.500 0.750 0.500
23 Mn 0.000 0.000 0.000
24 Mn 0.500 0.250 0.500
25 O 0.171 0.250 0.418
26 O 0.671 0.500 0.918
27 O 0.171 0.750 0.418
28 O 0.671 0.000 0.918
29 O 0.329 0.500 0.082
30 O 0.829 0.750 0.582
31 O 0.329 0.000 0.082
32 O 0.829 0.250 0.582
33 O 0.661 0.500 0.420
34 O 0.161 0.750 0.920
35 O 0.661 0.000 0.420
36 O 0.161 0.250 0.920
37 O 0.839 0.250 0.080
38 O 0.339 0.500 0.580
39 O 0.839 0.750 0.080
40 O 0.339 0.000 0.580
41 O 0.997 0.500 0.251
42 O 0.497 0.750 0.751
43 O 0.997 0.000 0.251
44 O 0.497 0.250 0.751
45 O 0.503 0.250 0.249
46 O 0.003 0.500 0.749
47 O 0.503 0.750 0.249
48 O 0.003 0.000 0.749

ΔH_f (0 K)   -3.0709 eV/atom
Calculated total energy   -6.662 eV/atom